DFT (GGA-PBE) results for a relaxed structure of HfCr2.

Properties
Formation energy in meV per atom: -100
Symmetry: P6_3/mmc (194)
DFT total energy in eV/cell: -236.51

POSCAR file:
```
HfCr2
1.0
5.0349 0.0000 0.0000
-2.5174 4.3603 0.0000
0.0000 0.0000 16.3045
Hf Cr
8 16
Cartesian
0.0000 0.0000 1.5402
0.0000 0.0000 6.6120
0.0000 0.0000 9.6924
0.0000 0.0000 14.7643
0.0000 2.9069 2.5441
0.0000 2.9069 5.6081
2.5174 1.4534 10.6964
2.5174 1.4534 13.7604
-1.2587 2.1802 0.0000
-1.2587 2.1802 8.1522
0.0000 1.4344 12.2284
-1.2752 3.6431 12.2284
1.2422 0.7172 4.0761
0.0000 2.9069 10.1648
0.0000 2.9069 14.2919
2.5174 0.0000 0.0000
2.5174 0.0000 8.1522
1.2587 2.1802 0.0000
1.2587 2.1802 8.1522
2.5174 1.4534 2.0126
2.5174 1.4534 6.1397
1.2752 3.6431 12.2284
3.7927 0.7172 4.0761
2.5174 2.9259 4.0761
```